A.
CaZnF2 | PBE-GGA | relaxed

Space group ... No. 227
Magnetization ... 0.0 Bohr magnetons per cell
Crystal system ... cubic

```
CaZnF2
1.0
5.624 -4.583 1.883
-0.068 -7.144 -2.267
4.851 -2.322 -5.222
Ca Zn F
4 4 8
Direct
0.625 0.625 0.625
0.625 0.625 0.125
0.125 0.625 0.625
0.625 0.125 0.625
0.125 0.125 0.125
0.125 0.125 0.625
0.625 0.125 0.125
0.125 0.625 0.125
0.842 0.474 0.842
0.474 0.842 0.842
0.408 0.408 0.408
0.408 0.776 0.408
0.408 0.408 0.776
0.776 0.408 0.408
0.842 0.842 0.842
0.842 0.842 0.474
```

=====

B.
CaZnF2 | PBE-GGA | relaxed

Space group ... No. 141
Magnetization ... 0.0 Bohr magnetons per cell
Crystal system ... tetragonal

```
CaZnF2
1.0
4.482 -1.913 5.680
-4.390 3.358 5.046
-2.700 -5.116 -4.748
Ca Zn F
4 4 8
Direct
0.875 0.625 0.250
0.375 0.625 0.750
0.375 0.625 0.250
0.375 0.125 0.750
0.375 0.125 0.250
0.875 0.125 0.750
0.875 0.125 0.250
0.875 0.625 0.750
0.161 0.472 0.311
0.161 0.851 0.689
0.222 0.411 0.811
0.589 0.778 0.189
0.601 0.411 0.189
0.589 0.399 0.811
0.528 0.839 0.689
0.149 0.839 0.311
```

=====

It is A that is the most stable of them.

=====

A.
CaLaGaO4 | PBE-GGA | relaxed

Space group ... No. 107
Magnetization ... 0.0 Bohr magnetons per cell
Crystal system ... tetragonal

```
CaLaGaO4
1.0
2.352 4.966 3.923
0.447 6.678 -0.885
-3.876 -5.512 -0.427
Ca La Ga O
1 1 1 4
Direct
0.641 0.641 0.000
0.356 0.356 0.000
0.009 0.009 0.000
0.998 0.498 0.500
0.498 0.998 0.500
0.827 0.827 0.000
0.170 0.170 0.000
```

=====

B.
CaLaGaO4 | PBE-GGA | relaxed

Space group ... No. 62
Magnetization ... 0.0 Bohr magnetons per cell
Crystal system ... orthorhombic

```
CaLaGaO4
1.0
-3.329 1.106 4.095
-5.421 -0.929 -4.156
-0.254 -11.541 2.911
Ca La Ga O
4 4 4 16
Direct
0.000 0.000 0.000
0.500 0.000 0.500
0.000 0.500 0.000
0.500 0.500 0.500
0.507 0.750 0.779
0.993 0.750 0.279
0.007 0.250 0.721
0.493 0.250 0.221
0.433 0.750 0.090
0.567 0.250 0.910
0.933 0.250 0.410
0.067 0.750 0.590
0.271 0.959 0.163
0.271 0.541 0.163
0.723 0.250 0.051
0.725 0.750 0.592
0.229 0.541 0.663
0.223 0.750 0.449
0.771 0.041 0.337
0.275 0.250 0.408
0.229 0.959 0.663
0.775 0.750 0.092
0.225 0.250 0.908
0.729 0.041 0.837
0.771 0.459 0.337
0.729 0.459 0.837
0.277 0.750 0.949
0.777 0.250 0.551
```

=====

It is B that is the most stable of them.